AlTlO2 | GGA-PBE | relaxed

abc: 5.7173 5.7173 5.7173
angles: 60.00 60.00 60.00
With the nearest neighbours (Å) after each atom.
Atoms (fractional coordinates):
1 Al 0.1250 0.1250 0.1250  4 O 1.75
2 Al 0.8750 0.8750 0.8750  4 O 1.75
3 Tl 0.3750 0.3750 0.3750  12 O 3.35, 4 Tl 3.50, 4 Al 3.50
4 Tl 0.6250 0.6250 0.6250  12 O 3.35, 4 Tl 3.50, 4 Al 3.50
5 O 0.0000 0.0000 0.0000  2 Al 1.75
6 O 0.0000 0.0000 0.5000  2 Al 1.75
7 O 0.0000 0.5000 0.0000  2 Al 1.75
8 O 0.5000 0.0000 0.0000  2 Al 1.75

Results
For the energy with MP2020 corrections, the calculation gives -51.46 eV for the cell shown. The symmetry is Fd-3m, No. 227. The value obtained for the magnetization is 0.00 Bohr magnetons per cell.

Al11TlO17 | GGA-PBE | relaxed

abc: 23.0825 5.6545 5.6545
angles: 120.01 90.00 90.00
With the nearest neighbours (Å) after each atom.
Atoms (fractional coordinates):
1 Al 0.0000 0.9998 0.9998  6 O 1.91
2 Al 0.0247 0.6667 0.3333  4 O 1.81-1.84
3 Al 0.1052 0.1672 0.3345  4 O 1.82-2.00
4 Al 0.1054 0.1673 0.8328  4 O 1.82-2.00
5 Al 0.1054 0.6653 0.8327  4 O 1.82-2.00
6 Al 0.1752 0.6662 0.3323  4 O 1.73-1.80
7 Al 0.3248 0.6662 0.3323  4 O 1.73-1.80
8 Al 0.3948 0.1672 0.3345  4 O 1.82-2.00
9 Al 0.3946 0.1673 0.8328  4 O 1.82-2.00
10 Al 0.3946 0.6653 0.8327  4 O 1.82-2.00
11 Al 0.4753 0.6667 0.3333  4 O 1.81-1.84
12 Al 0.5000 0.9998 0.9998  6 O 1.91
13 Al 0.5247 0.3333 0.6667  4 O 1.81-1.84
14 Al 0.6052 0.3345 0.1672  4 O 1.82-2.00
15 Al 0.6054 0.8328 0.1673  4 O 1.82-2.00
16 Al 0.6054 0.8327 0.6653  4 O 1.82-2.00
17 Al 0.6752 0.3323 0.6662  4 O 1.73-1.80
18 Al 0.8248 0.3323 0.6662  4 O 1.73-1.80
19 Al 0.8948 0.3345 0.1672  4 O 1.82-2.00
20 Al 0.8946 0.8328 0.1673  4 O 1.82-2.00
21 Al 0.8946 0.8327 0.6653  4 O 1.82-2.00
22 Al 0.9753 0.3333 0.6667  4 O 1.81-1.84
23 Tl 0.2500 0.3211 0.6422  8 O 2.91-3.20
24 Tl 0.7500 0.6422 0.3211  8 O 2.91-3.20
25 O 0.0490 0.3141 0.1570  2 Al 1.81-1.91
26 O 0.0490 0.8429 0.1571  2 Al 1.82-1.91
27 O 0.0490 0.8429 0.6858  2 Al 1.81-1.91
28 O 0.0548 0.3332 0.6666  4 Al 1.84-2.00
29 O 0.1396 0.0001 0.0001  3 Al 1.82
30 O 0.1436 0.0027 0.5011  3 Al 1.80-1.85
31 O 0.1436 0.4983 0.5011  3 Al 1.80-1.85
32 O 0.1436 0.4982 0.9964  3 Al 1.80-1.84
33 O 0.2500 0.6672 0.3343  2 Al 1.73
34 O 0.3564 0.0027 0.5011  3 Al 1.80-1.85
35 O 0.3564 0.4983 0.5011  3 Al 1.80-1.85
36 O 0.3564 0.4982 0.9964  3 Al 1.80-1.84
37 O 0.3604 0.0001 0.0001  3 Al 1.82
38 O 0.4452 0.3332 0.6666  4 Al 1.84-2.00
39 O 0.4510 0.3141 0.1570  2 Al 1.81-1.91
40 O 0.4510 0.8429 0.1571  2 Al 1.82-1.91
41 O 0.4510 0.8429 0.6858  2 Al 1.81-1.91
42 O 0.5490 0.1570 0.3141  2 Al 1.81-1.91
43 O 0.5490 0.1571 0.8429  2 Al 1.82-1.91
44 O 0.5490 0.6858 0.8429  2 Al 1.81-1.91
45 O 0.5548 0.6666 0.3332  4 Al 1.84-2.00
46 O 0.6396 0.0001 0.0001  3 Al 1.82
47 O 0.6436 0.5011 0.0027  3 Al 1.80-1.85
48 O 0.6436 0.5011 0.4983  3 Al 1.80-1.85
49 O 0.6436 0.9964 0.4982  3 Al 1.80-1.84
50 O 0.7500 0.3343 0.6672  2 Al 1.73
51 O 0.8564 0.5011 0.0027  3 Al 1.80-1.85
52 O 0.8564 0.5011 0.4983  3 Al 1.80-1.85
53 O 0.8564 0.9964 0.4982  3 Al 1.80-1.84
54 O 0.8604 0.0001 0.0001  3 Al 1.82
55 O 0.9452 0.6666 0.3332  4 Al 1.84-2.00
56 O 0.9510 0.1570 0.3141  2 Al 1.81-1.91
57 O 0.9510 0.1571 0.8429  2 Al 1.82-1.91
58 O 0.9510 0.6858 0.8429  2 Al 1.81-1.91

Results
For the energy with MP2020 corrections, the calculation gives -447.24 eV for the cell shown. The symmetry is Ama2, No. 40. The value obtained for the magnetization is 0.00 Bohr magnetons per cell.

AlTlO3 | GGA-PBE | relaxed

abc: 5.3605 7.6124 5.2513
angles: 90.00 90.00 90.00
With the nearest neighbours (Å) after each atom.
Atoms (fractional coordinates):
1 Al 0.0000 0.0000 0.0000  6 O 1.94-1.98
2 Al 0.0000 0.5000 0.0000  6 O 1.94-1.98
3 Al 0.5000 0.0000 0.5000  6 O 1.94-1.98
4 Al 0.5000 0.5000 0.5000  6 O 1.94-1.98
5 Tl 0.0400 0.2500 0.4869  4 O 2.22-2.36
6 Tl 0.4600 0.7500 0.9869  4 O 2.22-2.36
7 Tl 0.5400 0.2500 0.0131  4 O 2.22-2.36
8 Tl 0.9600 0.7500 0.5131  4 O 2.22-2.36
9 O 0.0334 0.7500 0.0968  2 Al 1.98
10 O 0.2091 0.5513 0.7066  2 Al 1.94
11 O 0.2091 0.9487 0.7066  2 Al 1.94
12 O 0.2909 0.0513 0.2066  2 Al 1.94
13 O 0.2909 0.4487 0.2066  2 Al 1.94
14 O 0.4666 0.2500 0.5968  2 Al 1.98
15 O 0.5334 0.7500 0.4032  2 Al 1.98
16 O 0.7091 0.5513 0.7934  2 Al 1.94
17 O 0.7091 0.9487 0.7934  2 Al 1.94
18 O 0.7909 0.0513 0.2934  2 Al 1.94
19 O 0.7909 0.4487 0.2934  2 Al 1.94
20 O 0.9666 0.2500 0.9032  2 Al 1.98

Results
For the energy with MP2020 corrections, the calculation gives -127.61 eV for the cell shown. The symmetry is Pnma, No. 62. The value obtained for the magnetization is 0.00 Bohr magnetons per cell.

UAlO3 | GGA-PBE | relaxed

abc: 3.7666 3.7666 3.7666
angles: 90.00 90.00 90.00
With the nearest neighbours (Å) after each atom.
Atoms (fractional coordinates):
1 U 0.0000 0.0000 0.0000  12 O 2.66
2 Al 0.5000 0.5000 0.5000  6 O 1.88
3 O 0.0000 0.5000 0.5000  2 Al 1.88
4 O 0.5000 0.0000 0.5000  2 Al 1.88
5 O 0.5000 0.5000 0.0000  2 Al 1.88

Results
For the energy with MP2020 corrections, the calculation gives -46.06 eV for the cell shown. The symmetry is Pm-3m, No. 221. The value obtained for the magnetization is 3.00 Bohr magnetons per cell.

Y3Al5O12 | GGA-PBE | relaxed

abc: 10.5033 10.5033 10.5033
angles: 109.47 109.47 109.47
With the nearest neighbours (Å) after each atom.
Atoms (fractional coordinates):
1 Y 0.1250 0.2500 0.3750  8 O 2.33-2.47
2 Y 0.1250 0.3750 0.7500  8 O 2.33-2.47
3 Y 0.2500 0.3750 0.1250  8 O 2.33-2.47
4 Y 0.2500 0.8750 0.6250  8 O 2.33-2.47
5 Y 0.3750 0.1250 0.2500  8 O 2.33-2.47
6 Y 0.3750 0.7500 0.1250  8 O 2.33-2.47
7 Y 0.6250 0.2500 0.8750  8 O 2.33-2.47
8 Y 0.6250 0.8750 0.7500  8 O 2.33-2.47
9 Y 0.7500 0.1250 0.3750  8 O 2.33-2.47
10 Y 0.7500 0.6250 0.8750  8 O 2.33-2.47
11 Y 0.8750 0.6250 0.2500  8 O 2.33-2.47
12 Y 0.8750 0.7500 0.6250  8 O 2.33-2.47
13 Al 0.0000 0.0000 0.0000  6 O 1.94
14 Al 0.0000 0.0000 0.5000  6 O 1.94
15 Al 0.0000 0.5000 0.0000  6 O 1.94
16 Al 0.0000 0.5000 0.5000  6 O 1.94
17 Al 0.1250 0.7500 0.8750  4 O 1.78
18 Al 0.1250 0.8750 0.2500  4 O 1.78
19 Al 0.2500 0.1250 0.8750  4 O 1.78
20 Al 0.2500 0.6250 0.3750  4 O 1.78
21 Al 0.3750 0.2500 0.6250  4 O 1.78
22 Al 0.3750 0.6250 0.7500  4 O 1.78
23 Al 0.5000 0.0000 0.0000  6 O 1.94
24 Al 0.5000 0.0000 0.5000  6 O 1.94
25 Al 0.5000 0.5000 0.0000  6 O 1.94
26 Al 0.5000 0.5000 0.5000  6 O 1.94
27 Al 0.6250 0.3750 0.2500  4 O 1.78
28 Al 0.6250 0.7500 0.3750  4 O 1.78
29 Al 0.7500 0.3750 0.6250  4 O 1.78
30 Al 0.7500 0.8750 0.1250  4 O 1.78
31 Al 0.8750 0.1250 0.7500  4 O 1.78
32 Al 0.8750 0.2500 0.1250  4 O 1.78
33 O 0.0197 0.1991 0.1185  2 Al 1.78-1.94
34 O 0.0197 0.3205 0.9011  2 Al 1.78-1.94
35 O 0.0806 0.6991 0.6795  2 Al 1.78-1.94
36 O 0.0806 0.8815 0.4011  2 Al 1.78-1.94
37 O 0.0989 0.6185 0.4194  2 Al 1.78-1.94
38 O 0.0989 0.9803 0.6795  2 Al 1.78-1.94
39 O 0.1185 0.0197 0.1991  2 Al 1.78-1.94
40 O 0.1185 0.5989 0.9194  2 Al 1.78-1.94
41 O 0.1795 0.1991 0.5806  2 Al 1.78-1.94
42 O 0.1795 0.4803 0.5989  2 Al 1.78-1.94
43 O 0.1991 0.1185 0.0197  2 Al 1.78-1.94
44 O 0.1991 0.5806 0.1795  2 Al 1.78-1.94
45 O 0.3009 0.3205 0.9194  2 Al 1.78-1.94
46 O 0.3009 0.4803 0.3815  2 Al 1.78-1.94
47 O 0.3205 0.9011 0.0197  2 Al 1.78-1.94
48 O 0.3205 0.9194 0.3009  2 Al 1.78-1.94
49 O 0.3815 0.3009 0.4803  2 Al 1.78-1.94
50 O 0.3815 0.5806 0.9011  2 Al 1.78-1.94
51 O 0.4011 0.0806 0.8815  2 Al 1.78-1.94
52 O 0.4011 0.8205 0.5197  2 Al 1.78-1.94
53 O 0.4194 0.0989 0.6185  2 Al 1.78-1.94
54 O 0.4194 0.8205 0.8009  2 Al 1.78-1.94
55 O 0.4803 0.3815 0.3009  2 Al 1.78-1.94
56 O 0.4803 0.5989 0.1795  2 Al 1.78-1.94
57 O 0.5197 0.4011 0.8205  2 Al 1.78-1.94
58 O 0.5197 0.6185 0.6991  2 Al 1.78-1.94
59 O 0.5806 0.1795 0.1991  2 Al 1.78-1.94
60 O 0.5806 0.9011 0.3815  2 Al 1.78-1.94
61 O 0.5989 0.1795 0.4803  2 Al 1.78-1.94
62 O 0.5989 0.9194 0.1185  2 Al 1.78-1.94
63 O 0.6185 0.4194 0.0989  2 Al 1.78-1.94
64 O 0.6185 0.6991 0.5197  2 Al 1.78-1.94
65 O 0.6795 0.0806 0.6991  2 Al 1.78-1.94
66 O 0.6795 0.0989 0.9803  2 Al 1.78-1.94
67 O 0.6991 0.5197 0.6185  2 Al 1.78-1.94
68 O 0.6991 0.6795 0.0806  2 Al 1.78-1.94
69 O 0.8009 0.4194 0.8205  2 Al 1.78-1.94
70 O 0.8009 0.8815 0.9803  2 Al 1.78-1.94
71 O 0.8205 0.5197 0.4011  2 Al 1.78-1.94
72 O 0.8205 0.8009 0.4194  2 Al 1.78-1.94
73 O 0.8815 0.4011 0.0806  2 Al 1.78-1.94
74 O 0.8815 0.9803 0.8009  2 Al 1.78-1.94
75 O 0.9011 0.0197 0.3205  2 Al 1.78-1.94
76 O 0.9011 0.3815 0.5806  2 Al 1.78-1.94
77 O 0.9194 0.1185 0.5989  2 Al 1.78-1.94
78 O 0.9194 0.3009 0.3205  2 Al 1.78-1.94
79 O 0.9803 0.6795 0.0989  2 Al 1.78-1.94
80 O 0.9803 0.8009 0.8815  2 Al 1.78-1.94

Results
For the energy with MP2020 corrections, the calculation gives -684.55 eV for the cell shown. The symmetry is Ia-3d, No. 230.

ΔE_f / eV/atom: -2.432 -3.308 -2.190 -3.237 -3.682